# Na2Fe2C4SO16 (PBE with a Hubbard U, optimized geometry)
data_Na2Fe2C4SO16
_chemical_formula_sum 'Na4 Fe4 C8 S2 O32'
_cell_length_a 9.863
_cell_length_b 9.857
_cell_length_c 9.859
_cell_angle_alpha 60.02
_cell_angle_beta 89.81
_cell_angle_gamma 119.57
_symmetry_space_group_name_H-M 'P 1'
_symmetry_Int_Tables_number 1
loop_
_symmetry_equiv_pos_as_xyz
'x,y,z'
loop_
_atom_site_label
_atom_site_fract_x
_atom_site_fract_y
_atom_site_fract_z
O1 0.308 0.371 0.069
O2 0.402 0.038 0.318
O3 0.139 0.534 0.315
O4 0.055 0.366 0.067
O5 0.857 0.220 0.596
O6 0.359 0.959 0.857
O7 0.315 0.458 0.403
O8 0.633 0.781 0.316
O9 0.598 0.280 0.856
O10 0.138 0.456 0.647
O11 0.935 0.626 0.937
O12 0.688 0.284 0.360
O13 0.934 0.874 0.690
O14 0.395 0.537 0.645
O15 0.070 0.133 0.056
O16 0.147 0.783 0.402
O17 0.648 0.046 0.138
O18 0.317 0.962 0.141
O19 0.352 0.039 0.603
O20 0.070 0.129 0.308
O21 0.600 0.964 0.682
O22 0.314 0.718 0.636
O23 0.599 0.452 0.361
O24 0.690 0.625 0.935
O25 0.363 0.219 0.685
O26 0.860 0.462 0.689
O27 0.649 0.965 0.395
O28 0.688 0.048 0.854
O29 0.684 0.538 0.599
O30 0.401 0.716 0.149
O31 0.856 0.541 0.359
O32 0.937 0.875 0.935
Fe1 0.000 0.504 0.496
Fe2 0.500 0.000 0.502
Fe3 0.503 0.502 0.497
Fe4 0.497 0.993 0.000
Na1 0.341 0.249 0.913
Na2 0.913 0.250 0.339
Na3 0.907 0.237 0.913
Na4 0.092 0.763 0.652
S1 0.874 0.751 0.875
S2 0.124 0.250 0.123
C1 0.284 0.572 0.640
C2 0.360 0.074 0.714
C3 0.286 0.570 0.289
C4 0.712 0.425 0.714
C5 0.714 0.426 0.361
C6 0.289 0.927 0.287
C7 0.641 0.929 0.285
C8 0.713 0.077 0.711
# E_tot = -6.697 eV per atom
# Space group = P1
# ΔE_f = -1.72 eV/atom
# Volume = 681.3 Å³/cell